[1]
Compound: AlTlSe2
Source: the Materials Project database
Functional: PBE
Structure: relaxed

Lattice parameters (Å, degrees): 7.747 7.747 15.854 82.94 82.94 90.03
Atoms (fractional coordinates):
1 Tl 0.850 0.225 0.111
2 Se 0.432 0.568 0.750
3 Se 0.055 0.945 0.250
4 Al 0.290 0.420 0.340
5 Tl 0.345 0.221 0.120
6 Se 0.643 0.269 0.934
7 Tl 0.655 0.779 0.880
8 Tl 0.779 0.655 0.380
9 Se 0.945 0.568 0.748
10 Se 0.731 0.357 0.566
11 Al 0.710 0.088 0.661
12 Al 0.420 0.290 0.840
13 Se 0.269 0.643 0.434
14 Al 0.088 0.710 0.161
15 Al 0.710 0.580 0.660
16 Se 0.357 0.731 0.066
17 Se 0.568 0.432 0.250
18 Se 0.432 0.055 0.752
19 Se 0.858 0.731 0.071
20 Al 0.580 0.710 0.160
21 Tl 0.221 0.345 0.620
22 Al 0.290 0.912 0.339
23 Se 0.568 0.945 0.248
24 Se 0.269 0.142 0.429
25 Se 0.731 0.858 0.571
26 Se 0.945 0.055 0.750
27 Tl 0.775 0.150 0.389
28 Tl 0.150 0.775 0.889
29 Tl 0.225 0.850 0.611
30 Al 0.912 0.290 0.839
31 Se 0.055 0.432 0.252
32 Se 0.142 0.269 0.929

Output
As for the MP2020-corrected energy: -0.157 hartree per atom. Its formation energy is -0.991 eV/atom.


[2]
Compound: Al2ZnSe4
Source: the Materials Project database
Functional: PBE
Structure: relaxed

Lattice parameters (Å, degrees): 6.788 6.788 6.788 130.98 130.98 71.85
Atoms (fractional coordinates):
1 Al 0.250 0.750 0.500
2 Zn 0.000 0.000 0.000
3 Se 0.117 0.605 0.986
4 Se 0.869 0.883 0.489
5 Se 0.395 0.381 0.511
6 Al 0.500 0.500 0.000
7 Se 0.619 0.131 0.014

Output
As for the MP2020-corrected energy: -0.160 hartree per atom. The largest piezoelectric modulus comes out at 0.1 C/m2. Its formation energy is -1.101 eV/atom.